# 1
The following is a PBE with a Hubbard U calculation of a geometry-optimized PH24W12C6N3O40 structure, from the Materials Project database.

Geometry as CIF:
```
data_PH24W12C6N3O40
_cell_length_a 17.1194
_cell_length_b 17.1194
_cell_length_c 26.2531
_cell_angle_alpha 90.00
_cell_angle_beta 90.00
_cell_angle_gamma 120.00
_space_group_name_H-M_alt 'R -3 m'
_space_group_IT_number 166
_space_group_name_Hall '-R 3 2"'
loop_
_atom_site_label
_atom_site_type_symbol
_atom_site_fract_x
_atom_site_fract_y
_atom_site_fract_z
P1 P 0.0000 0.0000 0.2341
H1 H 0.0206 0.4578 0.3024
H2 H 0.0432 0.4733 0.7825
H3 H 0.0542 0.2135 0.5542
H4 H 0.0776 0.5388 0.1666
H5 H 0.0839 0.5420 0.7004
W1 W 0.0050 0.2151 0.2362
W2 W 0.0681 0.1363 0.8809
W3 W 0.0732 0.1463 0.3439
C1 C 0.0129 0.5065 0.7120
C2 C 0.0841 0.5421 0.2082
N1 N 0.0088 0.5044 0.7692
O1 O 0.0000 0.0000 0.1752
O2 O 0.0082 0.3172 0.7701
O3 O 0.0131 0.1821 0.8335
O4 O 0.0304 0.2180 0.3085
O5 O 0.0492 0.0984 0.2537
O6 O 0.0515 0.1029 0.6485
O7 O 0.0526 0.1052 0.0935
O8 O 0.0649 0.5324 0.8909
O9 O 0.0972 0.1945 0.4043
O10 O 0.1006 0.5503 0.4181
O11 O 0.1086 0.2171 0.9285
```

Values from the calculation:
ρ, g cm⁻³: 4.5
Corrected total energy (MP2020 scheme), eV/atom: -7.51
Formation energy, eV per atom: -1.4582
Final energy, eV/atom: -6.57

=====

# 2
The following is a PBE with a Hubbard U calculation of a geometry-optimized PH30W12C9N3O40 structure, from the Materials Project database.

Geometry as CIF:
```
data_PH30W12C9N3O40
_cell_length_a 18.5549
_cell_length_b 18.5549
_cell_length_c 24.8406
_cell_angle_alpha 90.00
_cell_angle_beta 90.00
_cell_angle_gamma 120.00
_space_group_name_H-M_alt 'R -3'
_space_group_IT_number 148
_space_group_name_Hall '-R 3'
loop_
_atom_site_label
_atom_site_type_symbol
_atom_site_fract_x
_atom_site_fract_y
_atom_site_fract_z
P1 P 0.0000 0.0000 0.2234
H1 H 0.0015 0.2418 0.4485
H2 H 0.0156 0.5639 0.7864
H3 H 0.0184 0.6467 0.3016
H4 H 0.0373 0.4599 0.2775
H5 H 0.0415 0.4509 0.7716
H6 H 0.0547 0.4573 0.6767
H7 H 0.0550 0.5811 0.3291
H8 H 0.0581 0.8632 0.5753
H9 H 0.0718 0.5748 0.7255
H10 H 0.0820 0.5823 0.1792
W1 W 0.0303 0.2094 0.7753
W2 W 0.0395 0.2117 0.2267
W3 W 0.0439 0.9202 0.8981
W4 W 0.0459 0.9127 0.3404
C1 C 0.0063 0.5828 0.3051
C2 C 0.0119 0.5387 0.7460
C3 C 0.0608 0.8132 0.5534
N1 N 0.0066 0.5499 0.2500
O1 O 0.0000 0.0000 0.1612
O2 O 0.0079 0.1930 0.6978
O3 O 0.0186 0.1714 0.1522
O4 O 0.0198 0.4117 0.4489
O5 O 0.0269 0.4025 0.8876
O6 O 0.0322 0.9426 0.2441
O7 O 0.0327 0.9390 0.6508
O8 O 0.0338 0.9385 0.0750
O9 O 0.0428 0.1788 0.8478
O10 O 0.0613 0.8825 0.4036
O11 O 0.0624 0.2108 0.3030
O12 O 0.0695 0.8717 0.9485
O13 O 0.0772 0.8651 0.7605
O14 O 0.0872 0.5774 0.8809
```

Values from the calculation:
ρ, g cm⁻³: 4.1
Corrected total energy (MP2020 scheme), eV/atom: -7.31
Formation energy, eV per atom: -1.3251
Final energy, eV/atom: -6.46